Entry 1:
Below is a geometry-optimized V4O3F9 structure, with properties calculated at the r²SCAN level.

a b c (Å): 5.091 5.277 16.966
angles (deg): 88.98 98.13 118.64
Positions (direct):
1 O 0.836 0.190 0.043
2 O 0.798 0.204 0.561
3 O 0.656 0.542 0.208
4 O 0.667 0.062 0.707
5 O 0.853 0.433 0.833
6 O 0.285 0.410 0.315
7 F 0.765 0.661 0.057
8 F 0.168 0.589 0.163
9 F 0.671 0.837 0.910
10 F 0.683 0.319 0.410
11 F 0.231 0.314 0.938
12 F 0.347 0.481 0.787
13 F 0.178 0.793 0.964
14 F 0.322 0.142 0.088
15 F 0.721 0.579 0.683
16 F 0.724 0.069 0.195
17 F 0.813 0.896 0.343
18 F 0.174 0.097 0.663
19 F 0.216 0.807 0.438
20 F 0.198 0.296 0.466
21 F 0.326 0.686 0.587
22 F 0.817 0.719 0.534
23 F 0.308 0.926 0.290
24 F 0.286 0.963 0.816
25 V 0.977 0.011 0.001
26 V 0.753 0.908 0.625
27 V 0.744 0.365 0.127
28 V 0.530 0.253 0.750
29 V 0.504 0.712 0.251
30 V 0.247 0.134 0.371
31 V 0.220 0.615 0.872
32 V 0.984 0.484 0.503

For the formation enthalpy at 0 K, the calculation gives -3043.2 meV/atom. The value obtained for the polymorph energy (0 for the lowest one) is 0.03 kcal/mol of atoms. The calculated total energy comes out at -9.444 eV/atom. The spin magnetization is 0.31 μB/atom.


Entry 2:
Below is a geometry-optimized Ho4Ge9Ir13 structure, with properties calculated at the r²SCAN level.

a b c (Å): 3.975 11.217 19.357
angles (deg): 90.00 90.00 90.00
Positions (direct):
1 Ir 0.000 0.500 0.773
2 Ir 0.000 0.810 0.460
3 Ir 0.000 0.627 0.645
4 Ir 0.000 0.190 0.460
5 Ir 0.500 0.500 0.342
6 Ir 0.500 0.690 0.540
7 Ir 0.500 0.183 0.665
8 Ir 0.500 0.817 0.665
9 Ir 0.500 0.624 0.858
10 Ir 0.500 0.310 0.540
11 Ir 0.000 0.876 0.142
12 Ir 0.500 0.200 0.046
13 Ir 0.000 0.000 0.658
14 Ir 0.500 0.000 0.859
15 Ir 0.000 0.683 0.335
16 Ir 0.500 0.376 0.858
17 Ir 0.000 0.124 0.142
18 Ir 0.000 0.373 0.645
19 Ir 0.000 0.317 0.335
20 Ir 0.500 0.873 0.355
21 Ir 0.000 0.700 0.954
22 Ir 0.500 0.127 0.355
23 Ir 0.000 0.300 0.954
24 Ir 0.000 0.500 0.141
25 Ir 0.500 0.000 0.227
26 Ir 0.500 0.800 0.046
27 Ho 0.000 0.500 0.481
28 Ho 0.000 0.191 0.792
29 Ho 0.000 0.809 0.792
30 Ho 0.500 0.000 0.519
31 Ho 0.500 0.691 0.208
32 Ho 0.500 0.309 0.208
33 Ho 0.000 0.000 0.977
34 Ho 0.500 0.500 0.023
35 Ge 0.500 0.500 0.601
36 Ge 0.000 0.870 0.269
37 Ge 0.500 0.680 0.415
38 Ge 0.500 0.000 0.734
39 Ge 0.000 0.820 0.585
40 Ge 0.000 0.180 0.585
41 Ge 0.000 0.500 0.900
42 Ge 0.500 0.000 0.100
43 Ge 0.000 0.000 0.399
44 Ge 0.000 0.130 0.269
45 Ge 0.500 0.630 0.731
46 Ge 0.500 0.187 0.919
47 Ge 0.000 0.500 0.266
48 Ge 0.500 0.320 0.415
49 Ge 0.000 0.313 0.081
50 Ge 0.000 0.687 0.081
51 Ge 0.500 0.370 0.731
52 Ge 0.500 0.813 0.919

For the formation enthalpy at 0 K, the calculation gives -746.5 meV/atom. The calculated total energy comes out at -36.787 eV/atom. The spin magnetization is 0.00 μB/atom.


Entry 3:
Below is a geometry-optimized ZrMnF6 structure, with properties calculated at the r²SCAN level.

a b c (Å): 5.818 5.818 5.818
angles (deg): 60.00 60.00 60.00
Positions (direct):
1 F 0.745 0.255 0.255
2 F 0.745 0.745 0.255
3 F 0.255 0.745 0.745
4 F 0.255 0.255 0.745
5 F 0.255 0.745 0.255
6 F 0.745 0.255 0.745
7 Zr 0.500 0.500 0.500
8 Mn 0.000 0.000 0.000

For the formation enthalpy at 0 K, the calculation gives -3608.4 meV/atom. The calculated total energy comes out at -10.632 eV/atom. The spin magnetization is 0.63 μB/atom.


Entry 4:
Below is a geometry-optimized Tm2IrRu structure, with properties calculated at the r²SCAN level.

a b c (Å): 4.727 4.727 4.727
angles (deg): 60.00 60.00 60.00
Positions (direct):
1 Tm 0.000 0.000 0.000
2 Tm 0.500 0.500 0.500
3 Ir 0.250 0.250 0.250
4 Ru 0.750 0.750 0.750

For the formation enthalpy at 0 K, the calculation gives -806.3 meV/atom. The calculated total energy comes out at -37.813 eV/atom. The spin magnetization is 0.00 μB/atom.


Entry 5:
Below is a geometry-optimized Ti4Ni15O24 structure, with properties calculated at the r²SCAN level.

a b c (Å): 5.890 5.890 14.343
angles (deg): 90.00 90.00 120.00
Positions (direct):
1 Ti 0.667 0.333 0.711
2 Ti 0.000 0.000 0.376
3 Ti 0.333 0.667 0.289
4 Ti 0.000 0.000 0.624
5 O 0.495 0.505 0.752
6 O 0.000 0.000 0.752
7 O 0.333 0.667 0.418
8 O 0.495 0.991 0.752
9 O 0.171 0.829 0.582
10 O 0.150 0.301 0.075
11 O 0.333 0.667 0.916
12 O 0.991 0.495 0.248
13 O 0.667 0.333 0.582
14 O 0.505 0.009 0.248
15 O 0.849 0.151 0.925
16 O 0.150 0.850 0.075
17 O 0.699 0.850 0.075
18 O 0.301 0.151 0.925
19 O 0.849 0.699 0.925
20 O 0.829 0.171 0.418
21 O 0.657 0.829 0.582
22 O 0.009 0.505 0.752
23 O 0.000 0.000 0.248
24 O 0.829 0.657 0.418
25 O 0.667 0.333 0.084
26 O 0.505 0.495 0.248
27 O 0.343 0.171 0.418
28 O 0.171 0.343 0.582
29 Ni 0.670 0.835 0.833
30 Ni 0.165 0.835 0.833
31 Ni 0.500 0.500 0.000
32 Ni 0.000 0.000 0.000
33 Ni 0.333 0.667 0.667
34 Ni 0.000 0.500 0.500
35 Ni 0.835 0.670 0.167
36 Ni 0.330 0.165 0.167
37 Ni 0.165 0.330 0.833
38 Ni 0.500 0.000 0.500
39 Ni 0.500 0.000 0.000
40 Ni 0.667 0.333 0.333
41 Ni 0.000 0.500 0.000
42 Ni 0.835 0.165 0.167
43 Ni 0.500 0.500 0.500

For the formation enthalpy at 0 K, the calculation gives -1762.5 meV/atom. The calculated total energy comes out at -10.479 eV/atom. The spin magnetization is 0.65 μB/atom.


Entry 6:
Below is a geometry-optimized GdSnPt2 structure, with properties calculated at the r²SCAN level.

a b c (Å): 4.548 4.548 9.162
angles (deg): 90.00 90.00 120.00
Positions (direct):
1 Sn 0.000 0.000 0.500
2 Sn 0.000 0.000 0.000
3 Gd 0.667 0.333 0.750
4 Gd 0.333 0.667 0.250
5 Pt 0.667 0.333 0.412
6 Pt 0.333 0.667 0.588
7 Pt 0.667 0.333 0.088
8 Pt 0.333 0.667 0.912

For the formation enthalpy at 0 K, the calculation gives -1042.4 meV/atom. The calculated total energy comes out at -43.822 eV/atom. The spin magnetization is 1.78 μB/atom.


Entry 7:
Below is a geometry-optimized TbH3 structure, with properties calculated at the r²SCAN level.

a b c (Å): 6.358 6.358 6.631
angles (deg): 90.00 90.00 120.00
Positions (direct):
1 H 0.031 0.679 0.909
2 H 0.969 0.321 0.091
3 H 0.321 0.969 0.409
4 H 0.667 0.333 0.313
5 H 0.679 0.031 0.591
6 H 0.031 0.351 0.409
7 H 0.969 0.649 0.591
8 H 0.333 0.667 0.687
9 H 0.649 0.969 0.909
10 H 0.351 0.031 0.091
11 H 0.333 0.667 0.187
12 H 0.000 0.000 0.250
13 H 0.667 0.333 0.813
14 H 0.649 0.679 0.409
15 H 0.321 0.351 0.909
16 H 0.000 0.000 0.750
17 H 0.351 0.321 0.591
18 H 0.679 0.649 0.091
19 Tb 0.337 0.337 0.250
20 Tb 0.000 0.337 0.750
21 Tb 0.663 0.663 0.750
22 Tb 0.663 0.000 0.250
23 Tb 0.000 0.663 0.250
24 Tb 0.337 0.000 0.750

For the formation enthalpy at 0 K, the calculation gives -722.2 meV/atom. The calculated total energy comes out at -11.120 eV/atom. The spin magnetization is 0.00 μB/atom.


Entry 8:
Below is a geometry-optimized Eu2TlCd structure, with properties calculated at the r²SCAN level.

a b c (Å): 5.582 5.582 5.582
angles (deg): 60.00 60.00 60.00
Positions (direct):
1 Eu 0.750 0.750 0.750
2 Eu 0.250 0.250 0.250
3 Cd 0.500 0.500 0.500
4 Tl 0.000 0.000 0.000

For the formation enthalpy at 0 K, the calculation gives -463.0 meV/atom. The calculated total energy comes out at -38.045 eV/atom. The spin magnetization is 3.57 μB/atom.


Entry 9:
Below is a geometry-optimized Nb6Fe16Si7 structure, with properties calculated at the r²SCAN level.

a b c (Å): 7.886 7.886 7.886
angles (deg): 60.00 60.00 60.00
Positions (direct):
1 Si 0.000 0.500 0.500
2 Si 0.000 0.500 0.000
3 Si 0.500 0.500 0.000
4 Si 0.500 0.000 0.000
5 Si 0.000 0.000 0.500
6 Si 0.500 0.000 0.500
7 Si 0.500 0.500 0.500
8 Fe 0.380 0.380 0.861
9 Fe 0.139 0.620 0.620
10 Fe 0.620 0.620 0.620
11 Fe 0.620 0.620 0.139
12 Fe 0.174 0.477 0.174
13 Fe 0.826 0.826 0.826
14 Fe 0.620 0.139 0.620
15 Fe 0.861 0.380 0.380
16 Fe 0.826 0.826 0.523
17 Fe 0.826 0.523 0.826
18 Fe 0.174 0.174 0.174
19 Fe 0.477 0.174 0.174
20 Fe 0.380 0.861 0.380
21 Fe 0.380 0.380 0.380
22 Fe 0.174 0.174 0.477
23 Fe 0.523 0.826 0.826
24 Nb 0.793 0.207 0.207
25 Nb 0.207 0.793 0.207
26 Nb 0.207 0.207 0.793
27 Nb 0.793 0.207 0.793
28 Nb 0.207 0.793 0.793
29 Nb 0.793 0.793 0.207

For the formation enthalpy at 0 K, the calculation gives -174.5 meV/atom. The calculated total energy comes out at -15.362 eV/atom. The spin magnetization is 0.00 μB/atom.


Entry 10:
Below is a geometry-optimized LiYb2Hg structure, with properties calculated at the r²SCAN level.

a b c (Å): 5.093 5.093 5.093
angles (deg): 60.00 60.00 60.00
Positions (direct):
1 Yb 0.250 0.250 0.250
2 Yb 0.750 0.750 0.750
3 Hg 0.000 0.000 0.000
4 Li 0.500 0.500 0.500

For the formation enthalpy at 0 K, the calculation gives -290.9 meV/atom. The calculated total energy comes out at -31.494 eV/atom. The spin magnetization is 0.04 μB/atom.


Entry 11:
Below is a geometry-optimized Na5BrCl4 structure, with properties calculated at the r²SCAN level.

a b c (Å): 16.526 16.526 16.526
angles (deg): 13.94 13.94 13.94
Positions (direct):
1 Cl 0.902 0.902 0.902
2 Cl 0.301 0.301 0.301
3 Cl 0.098 0.098 0.098
4 Cl 0.699 0.699 0.699
5 Na 0.797 0.797 0.797
6 Na 0.601 0.601 0.601
7 Na 0.203 0.203 0.203
8 Na 0.000 0.000 0.000
9 Na 0.399 0.399 0.399
10 Br 0.500 0.500 0.500

For the formation enthalpy at 0 K, the calculation gives -1989.3 meV/atom. The calculated total energy comes out at -7.558 eV/atom. The spin magnetization is 0.00 μB/atom.


Entry 12:
Below is a geometry-optimized Ni3Ge structure, with properties calculated at the r²SCAN level.

a b c (Å): 3.530 3.530 3.530
angles (deg): 90.00 90.00 90.00
Positions (direct):
1 Ge 0.000 0.000 0.000
2 Ni 0.500 0.500 0.000
3 Ni 0.500 0.000 0.500
4 Ni 0.000 0.500 0.500

For the formation enthalpy at 0 K, the calculation gives -247.3 meV/atom. The calculated total energy comes out at -12.702 eV/atom. The spin magnetization is 0.00 μB/atom.